# 1
Na4SnO4 | the Materials Project database | GGA-PBE | relaxed; symmetry = P-1; DFT formation energy = -180.2 kJ/mol of atoms; calculated density = 3.25 g/cm3
1.0
5.953 0.000 0.000
2.181 5.554 0.000
2.901 0.142 8.481
Na Sn O
8 2 8
Direct
0.018 0.264 0.436
0.113 0.720 0.195
0.255 0.243 0.008
0.436 0.249 0.595
0.564 0.751 0.405
0.745 0.757 0.992
0.887 0.280 0.805
0.982 0.736 0.564
0.341 0.722 0.765
0.659 0.278 0.235
0.127 0.517 0.805
0.201 0.985 0.621
0.321 0.477 0.371
0.351 0.840 0.957
0.649 0.160 0.043
0.679 0.523 0.629
0.799 0.015 0.379
0.873 0.483 0.195


# 2
Na8SnO6 | the Materials Project database | GGA-PBE | relaxed; offset from the most stable computed form = 0.0505 eV/atom; symmetry = R-3; DFT formation energy = -158.3 kJ/mol of atoms; calculated density = 3.33 g/cm3
1.0
3.176 1.834 5.694
-3.176 1.834 5.694
0.000 -3.667 5.694
Na Sn O
8 1 6
Direct
0.002 0.746 0.407
0.159 0.159 0.159
0.254 0.593 0.998
0.407 0.002 0.746
0.593 0.998 0.254
0.746 0.407 0.002
0.841 0.841 0.841
0.998 0.254 0.593
0.500 0.500 0.500
0.148 0.413 0.721
0.279 0.852 0.587
0.413 0.721 0.148
0.587 0.279 0.852
0.721 0.148 0.413
0.852 0.587 0.279


# 3
Na2SnO6 | the Materials Project database | GGA-PBE | relaxed; offset from the most stable computed form = 0.3034 eV/atom; symmetry = R-3; DFT formation energy = -78.2 kJ/mol of atoms; calculated density = 3.15 g/cm3
1.0
3.236 1.868 3.786
-3.236 1.868 3.786
0.000 -3.736 3.786
Na Sn O
2 1 6
Direct
0.178 0.178 0.178
0.822 0.822 0.822
0.500 0.500 0.500
0.142 0.720 0.412
0.280 0.588 0.858
0.412 0.142 0.720
0.588 0.858 0.280
0.720 0.412 0.142
0.858 0.280 0.588


# 4
Na6Sn2O7 | the Materials Project database | GGA-PBE | relaxed; offset from the most stable computed form = 0.0000 eV/atom; symmetry = P2_1/c; DFT formation energy = -181.1 kJ/mol of atoms; calculated density = 3.35 g/cm3
1.0
9.352 0.000 0.000
0.000 6.243 0.000
-8.194 0.000 16.564
Na Sn O
24 8 28
Direct
0.008 0.198 0.458
0.008 0.302 0.958
0.127 0.666 0.257
0.127 0.834 0.757
0.178 0.015 0.376
0.178 0.485 0.876
0.258 0.647 0.486
0.258 0.853 0.986
0.350 0.130 0.884
0.350 0.370 0.384
0.403 0.721 0.199
0.403 0.779 0.699
0.597 0.221 0.301
0.597 0.279 0.801
0.650 0.630 0.616
0.650 0.870 0.116
0.742 0.147 0.014
0.742 0.353 0.514
0.822 0.515 0.124
0.822 0.985 0.624
0.873 0.166 0.243
0.873 0.334 0.743
0.992 0.698 0.042
0.992 0.802 0.542
0.158 0.176 0.169
0.158 0.324 0.669
0.437 0.152 0.586
0.437 0.348 0.086
0.563 0.652 0.914
0.563 0.848 0.414
0.842 0.676 0.331
0.842 0.824 0.831
0.014 0.674 0.924
0.014 0.826 0.424
0.131 0.227 0.764
0.131 0.273 0.264
0.158 0.637 0.659
0.158 0.863 0.159
0.271 0.225 0.985
0.271 0.275 0.485
0.346 0.733 0.381
0.346 0.767 0.881
0.375 0.214 0.679
0.375 0.286 0.179
0.441 0.662 0.088
0.441 0.838 0.588
0.559 0.162 0.412
0.559 0.338 0.912
0.625 0.714 0.821
0.625 0.786 0.321
0.654 0.233 0.119
0.654 0.267 0.619
0.729 0.725 0.515
0.729 0.775 0.015
0.842 0.137 0.841
0.842 0.363 0.341
0.869 0.727 0.736
0.869 0.773 0.236
0.986 0.174 0.576
0.986 0.326 0.076


# 5
NaSrO3 | the Materials Project database | GGA-PBE | relaxed; symmetry = Pm-3m; DFT formation energy = -126.2 kJ/mol of atoms; calculated density = 3.53 g/cm3
1.0
4.208 0.000 0.000
0.000 4.208 0.000
0.000 0.000 4.208
Na Sr O
1 1 3
Direct
0.000 0.000 0.000
0.500 0.500 0.500
0.000 0.000 0.500
0.000 0.500 0.000
0.500 0.000 0.000


# 6
Na3SrTa4O12 | the Materials Project database | GGA-PBE | relaxed; symmetry = Pm; DFT formation energy = -303.5 kJ/mol of atoms; calculated density = 7.05 g/cm3
1.0
5.612 0.000 0.000
0.000 7.999 0.000
-0.001 0.000 5.623
Na Sr Ta O
3 1 4 12
Direct
0.000 0.000 0.000
0.005 0.500 0.984
0.506 0.000 0.500
0.502 0.500 0.481
0.003 0.247 0.492
0.003 0.753 0.492
0.503 0.247 0.992
0.503 0.753 0.992
0.037 0.000 0.485
0.223 0.270 0.213
0.223 0.730 0.213
0.286 0.266 0.709
0.286 0.734 0.709
0.468 0.000 0.986
0.537 0.500 0.997
0.717 0.234 0.278
0.717 0.766 0.278
0.783 0.234 0.773
0.783 0.766 0.773
0.971 0.500 0.499


# 7
NaSr2Ta3O9 | the Materials Project database | GGA-PBE | relaxed; symmetry = P-3m1; DFT formation energy = -312.2 kJ/mol of atoms; calculated density = 7.43 g/cm3
1.0
5.714 0.000 0.000
-2.857 4.948 0.000
0.000 0.000 6.994
Na Sr Ta O
1 2 3 9
Direct
0.000 0.000 0.000
0.333 0.667 0.671
0.667 0.333 0.329
0.000 0.000 0.500
0.333 0.667 0.164
0.667 0.333 0.836
0.000 0.500 0.000
0.168 0.337 0.337
0.168 0.832 0.337
0.337 0.168 0.663
0.500 0.000 0.000
0.500 0.500 0.000
0.663 0.832 0.337
0.832 0.168 0.663
0.832 0.663 0.663


# 8
Na3Sr7Ta3Ti7O30 | the Materials Project database | GGA-PBE | relaxed; symmetry = Pm; DFT formation energy = -327.9 kJ/mol of atoms; calculated density = 5.44 g/cm3
1.0
7.943 0.000 0.000
0.000 3.956 0.000
-0.018 0.000 19.811
Na Sr Ta Ti O
3 7 3 7 30
Direct
0.000 0.000 0.000
0.026 0.000 0.218
0.486 0.000 0.216
0.000 0.000 0.811
0.001 0.000 0.611
0.011 0.000 0.413
0.498 0.000 0.413
0.498 0.000 0.810
0.501 0.000 0.003
0.502 0.000 0.611
0.254 0.500 0.112
0.756 0.500 0.308
0.759 0.500 0.108
0.242 0.500 0.911
0.248 0.500 0.712
0.250 0.500 0.512
0.256 0.500 0.312
0.748 0.500 0.711
0.749 0.500 0.909
0.750 0.500 0.512
0.007 0.500 0.106
0.007 0.500 0.311
0.010 0.500 0.509
0.010 0.500 0.906
0.011 0.500 0.707
0.256 0.500 0.209
0.257 0.000 0.312
0.258 0.500 0.409
0.259 0.000 0.509
0.260 0.500 0.608
0.260 0.500 0.807
0.261 0.000 0.707
0.262 0.000 0.106
0.262 0.000 0.906
0.267 0.500 0.007
0.507 0.500 0.106
0.507 0.500 0.311
0.510 0.500 0.509
0.511 0.500 0.708
0.512 0.500 0.906
0.751 0.500 0.007
0.752 0.000 0.106
0.757 0.000 0.311
0.757 0.000 0.906
0.758 0.500 0.208
0.758 0.500 0.409
0.759 0.000 0.509
0.760 0.500 0.608
0.761 0.000 0.708
0.761 0.500 0.807